A relaxed structure of CaSnF4. Source: the Materials Project database, functional GGA-PBE.

Computed properties:
SG = No. 123

abc: 4.0045 4.0045 5.7805
angles: 90.00 90.00 90.00
Fractional coordinates of all 6 atoms:
Ca 0.0000 0.0000 0.5000
Sn 0.5000 0.5000 0.0000
F 0.5000 0.0000 0.2657
F 0.5000 0.0000 0.7343
F 0.0000 0.5000 0.7343
F 0.0000 0.5000 0.2657

A relaxed structure of CaTaF7. Source: the Materials Project database, functional GGA-PBE.

Computed properties:
SG = No. 14

abc: 11.7918 9.9861 13.6482
angles: 89.25 90.00 90.00
Fractional coordinates of all 108 atoms:
Ca 0.6007 0.7371 0.0381
Ca 0.4051 0.5780 0.3348
Ca 0.3993 0.2629 0.9619
Ca 0.0828 0.4557 0.6792
Ca 0.5949 0.4220 0.6652
Ca 0.9172 0.5443 0.3208
Ca 0.8993 0.2371 0.0381
Ca 0.5828 0.0443 0.3208
Ca 0.4172 0.9557 0.6792
Ca 0.1007 0.7629 0.9619
Ca 0.0949 0.0780 0.3348
Ca 0.9051 0.9220 0.6652
Ta 0.1484 0.4198 0.1549
Ta 0.1206 0.0894 0.8231
Ta 0.6206 0.4106 0.1769
Ta 0.3794 0.5894 0.8231
Ta 0.6470 0.7593 0.4859
Ta 0.1470 0.7407 0.5141
Ta 0.8516 0.5802 0.8451
Ta 0.8530 0.2593 0.4859
Ta 0.6484 0.0802 0.8451
Ta 0.8794 0.9106 0.1769
Ta 0.3516 0.9198 0.1549
Ta 0.3530 0.2407 0.5141
F 0.5222 0.8215 0.5686
F 0.5518 0.8159 0.3678
F 0.7499 0.8103 0.1231
F 0.2895 0.5015 0.2069
F 0.2594 0.7951 0.6086
F 0.9585 0.0931 0.1875
F 0.3536 0.7698 0.2458
F 0.9166 0.6901 0.9531
F 0.0246 0.5834 0.8320
F 0.7180 0.3140 0.5634
F 0.5834 0.1901 0.9531
F 0.9778 0.3215 0.5686
F 0.2757 0.3265 0.0917
F 0.9460 0.1032 0.4443
F 0.7594 0.7049 0.3914
F 0.6044 0.9676 0.7310
F 0.0415 0.9069 0.8125
F 0.1044 0.5324 0.2690
F 0.4482 0.1841 0.6322
F 0.3326 0.3815 0.4118
F 0.0923 0.2823 0.7929
F 0.5540 0.6032 0.4443
F 0.8536 0.7302 0.7542
F 0.7896 0.9985 0.7931
F 0.3160 0.4706 0.9265
F 0.1674 0.8815 0.4118
F 0.8688 0.4292 0.9348
F 0.9754 0.4166 0.1680
F 0.7243 0.6735 0.9083
F 0.8160 0.0294 0.0735
F 0.9952 0.8800 0.0788
F 0.2104 0.0015 0.2069
F 0.8956 0.4676 0.7310
F 0.2381 0.0232 0.7359
F 0.3688 0.0708 0.0652
F 0.5246 0.9166 0.1680
F 0.0222 0.6785 0.4314
F 0.9482 0.3159 0.3678
F 0.0540 0.8968 0.5557
F 0.0048 0.1200 0.9212
F 0.8326 0.1185 0.5882
F 0.1312 0.5708 0.0652
F 0.7104 0.4985 0.7931
F 0.2619 0.5232 0.7359
F 0.8338 0.4557 0.4634
F 0.5923 0.2177 0.2071
F 0.1464 0.2698 0.2458
F 0.1840 0.9706 0.9265
F 0.0518 0.6841 0.6322
F 0.6464 0.2302 0.7542
F 0.1662 0.5443 0.5366
F 0.2406 0.2951 0.6086
F 0.2820 0.6860 0.4366
F 0.6312 0.9292 0.9348
F 0.6662 0.9557 0.4634
F 0.0834 0.3099 0.0469
F 0.2499 0.6897 0.8769
F 0.2501 0.1897 0.8769
F 0.5415 0.5931 0.1875
F 0.7501 0.3103 0.1231
F 0.4460 0.3968 0.5557
F 0.5048 0.3800 0.0788
F 0.4166 0.8099 0.0469
F 0.4778 0.1785 0.4314
F 0.4754 0.0834 0.8320
F 0.2180 0.1860 0.4366
F 0.7381 0.4768 0.2641
F 0.6674 0.6185 0.5882
F 0.4585 0.4069 0.8125
F 0.4952 0.6200 0.9212
F 0.4719 0.5946 0.7034
F 0.9077 0.7177 0.2071
F 0.2243 0.8265 0.0917
F 0.9719 0.9054 0.2966
F 0.4077 0.7823 0.7929
F 0.6840 0.5294 0.0735
F 0.5281 0.4054 0.2966
F 0.3338 0.0443 0.5366
F 0.7820 0.8140 0.5634
F 0.7619 0.9768 0.2641
F 0.7757 0.1735 0.9083
F 0.7406 0.2049 0.3914
F 0.3956 0.0324 0.2690
F 0.0281 0.0946 0.7034

A relaxed structure of CaTbF6. Source: the Materials Project database, functional GGA-PBE.

Computed properties:
SG = No. 84

abc: 5.4728 5.4728 7.9615
angles: 90.00 90.00 90.00
Fractional coordinates of all 16 atoms:
Ca 0.0000 0.0000 0.0000
Ca 0.0000 0.0000 0.5000
Tb 0.5000 0.5000 0.7500
Tb 0.5000 0.5000 0.2500
F 0.7531 0.2011 0.1771
F 0.2469 0.7989 0.1771
F 0.2011 0.2469 0.6771
F 0.7989 0.7531 0.6771
F 0.2469 0.7989 0.8229
F 0.7531 0.2011 0.8229
F 0.7989 0.7531 0.3229
F 0.2011 0.2469 0.3229
F 0.3141 0.3365 0.0000
F 0.6859 0.6635 0.0000
F 0.3365 0.6859 0.5000
F 0.6635 0.3141 0.5000

A relaxed structure of Ca4ThF12. Source: the Materials Project database, functional GGA-PBE.

Computed properties:
SG = No. 1

abc: 3.9702 4.0951 16.1317
angles: 90.41 96.39 117.61
Fractional coordinates of all 17 atoms:
Ca 0.9456 0.9535 0.9821
Ca 0.1358 0.5608 0.7896
Ca 0.3598 0.1785 0.5986
Ca 0.5926 0.7851 0.4059
Th 0.7708 0.3491 0.1949
F 0.2224 0.5777 0.9342
F 0.6699 0.8330 0.5521
F 0.8306 0.9029 0.8362
F 0.4430 0.2162 0.7440
F 0.9213 0.4721 0.3530
F 0.0507 0.5242 0.6447
F 0.9745 0.8969 0.1244
F 0.2900 0.1451 0.4536
F 0.2249 0.1481 0.2641
F 0.5573 0.7922 0.2625
F 0.3081 0.5374 0.1237
F 0.6069 0.2273 0.0365

A relaxed structure of Ca5ThF14. Source: the Materials Project database, functional GGA-PBE.

Computed properties:
SG = No. 1

abc: 3.8951 3.9748 19.7807
angles: 90.50 90.32 118.81
Fractional coordinates of all 20 atoms:
Ca 0.0352 0.0183 0.9948
Ca 0.0388 0.9987 0.5148
Ca 0.3869 0.6422 0.8311
Ca 0.7140 0.3181 0.6731
Ca 0.7075 0.4015 0.1557
Th 0.3677 0.7015 0.3344
F 0.0488 0.9806 0.8712
F 0.7173 0.3083 0.7918
F 0.3630 0.6617 0.4707
F 0.3818 0.6517 0.7131
F 0.0474 0.9846 0.6348
F 0.7179 0.4208 0.2680
F 0.7082 0.3324 0.5551
F 0.6835 0.3274 0.3821
F 0.0375 0.0564 0.1176
F 0.0110 0.9745 0.4016
F 0.0460 0.0715 0.2878
F 0.3740 0.7347 0.2041
F 0.3680 0.6908 0.0346
F 0.6986 0.3508 0.9572

A relaxed structure of CaTi2F10. Source: the Materials Project database, functional GGA-PBE.

Computed properties:
SG = No. 5

abc: 5.6350 5.6350 7.7954
angles: 69.55 69.55 72.02
Fractional coordinates of all 13 atoms:
Ca 0.5429 0.4571 0.0000
Ti 0.0090 0.0042 0.7434
Ti 0.9958 0.9910 0.2566
F 0.7965 0.7518 0.8643
F 0.2482 0.2035 0.1357
F 0.2093 0.2381 0.6324
F 0.7619 0.7907 0.3676
F 0.9320 0.0680 0.0000
F 0.0544 0.9456 0.5000
F 0.7376 0.2927 0.2582
F 0.7073 0.2624 0.7418
F 0.2622 0.7164 0.1918
F 0.2836 0.7378 0.8082

A relaxed structure of CaZrTlF7. Source: the Materials Project database, functional GGA-PBE.

Computed properties:
SG = No. 63

abc: 6.6633 6.6633 8.6510
angles: 90.00 90.00 116.55
Fractional coordinates of all 20 atoms:
Ca 0.3088 0.6912 0.7500
Ca 0.6912 0.3088 0.2500
Zr 0.6926 0.3074 0.7500
Zr 0.3074 0.6926 0.2500
Tl 0.0000 0.0000 0.0000
Tl 0.0000 0.0000 0.5000
F 0.3485 0.0646 0.7500
F 0.6515 0.9354 0.2500
F 0.9354 0.6515 0.7500
F 0.0646 0.3485 0.2500
F 0.7011 0.2989 0.9868
F 0.2989 0.7011 0.0132
F 0.2989 0.7011 0.4868
F 0.7011 0.2989 0.5132
F 0.5102 0.4898 0.7500
F 0.4898 0.5102 0.2500
F 0.6717 0.9775 0.7500
F 0.3283 0.0225 0.2500
F 0.0225 0.3283 0.7500
F 0.9775 0.6717 0.2500

A relaxed structure of CaUF6. Source: the Materials Project database, functional GGA-PBE.

Computed properties:
SG = No. 187

abc: 4.0782 4.0782 7.1514
angles: 90.00 90.00 120.00
Fractional coordinates of all 8 atoms:
Ca 0.3333 0.6667 0.0000
U 0.0000 0.0000 0.5000
F 0.6667 0.3333 0.0000
F 0.6667 0.3333 0.5000
F 0.3333 0.6667 0.6634
F 0.0000 0.0000 0.7996
F 0.0000 0.0000 0.2004
F 0.3333 0.6667 0.3366

A relaxed structure of CaZnF2. Source: the Materials Project database, functional GGA-PBE.

Computed properties:
Polymorph energy (0 for the lowest one) = 6 meV/atom
SG = No. 141

abc: 7.4838 7.4838 7.4838
angles: 121.52 121.52 87.38
Fractional coordinates of all 16 atoms:
Ca 0.8750 0.6250 0.2500
Ca 0.3750 0.6250 0.7500
Ca 0.3750 0.6250 0.2500
Ca 0.3750 0.1250 0.7500
Zn 0.3750 0.1250 0.2500
Zn 0.8750 0.1250 0.7500
Zn 0.8750 0.1250 0.2500
Zn 0.8750 0.6250 0.7500
F 0.1611 0.4716 0.3105
F 0.1611 0.8506 0.6895
F 0.2216 0.4111 0.8105
F 0.5889 0.7784 0.1895
F 0.6006 0.4111 0.1895
F 0.5889 0.3994 0.8105
F 0.5284 0.8389 0.6895
F 0.1494 0.8389 0.3105

A relaxed structure of CaZnF2. Source: the Materials Project database, functional GGA-PBE.

Computed properties:
Polymorph energy (0 for the lowest one) = 0 meV/atom
SG = No. 227

abc: 7.4956 7.4956 7.4956
angles: 60.00 60.00 60.00
Fractional coordinates of all 16 atoms:
Ca 0.6250 0.6250 0.6250
Ca 0.6250 0.6250 0.1250
Ca 0.1250 0.6250 0.6250
Ca 0.6250 0.1250 0.6250
Zn 0.1250 0.1250 0.1250
Zn 0.1250 0.1250 0.6250
Zn 0.6250 0.1250 0.1250
Zn 0.1250 0.6250 0.1250
F 0.8421 0.4738 0.8421
F 0.4738 0.8421 0.8421
F 0.4079 0.4079 0.4079
F 0.4079 0.7762 0.4079
F 0.4079 0.4079 0.7762
F 0.7762 0.4079 0.4079
F 0.8421 0.8421 0.8421
F 0.8421 0.8421 0.4738

A relaxed structure of Ca5Zr3F22. Source: the Materials Project database, functional GGA-PBE.

Computed properties:
SG = No. 18

abc: 7.5181 10.0685 10.1411
angles: 90.00 90.00 90.00
Fractional coordinates of all 60 atoms:
Ca 0.2603 0.7523 0.7884
Ca 0.7397 0.7523 0.2116
Ca 0.2397 0.2477 0.2884
Ca 0.7603 0.2477 0.7116
Ca 0.0000 0.9448 0.5000
Ca 0.5000 0.0552 0.0000
Ca 0.5000 0.5376 0.5000
Ca 0.0000 0.4624 0.0000
Ca 0.5000 0.9782 0.5000
Ca 0.0000 0.0218 0.0000
Zr 0.7522 0.7762 0.7879
Zr 0.2478 0.7762 0.2121
Zr 0.7478 0.2238 0.2879
Zr 0.2522 0.2238 0.7121
Zr 0.5000 0.4612 0.0000
Zr 0.0000 0.5388 0.5000
F 0.2596 0.8941 0.6127
F 0.7404 0.8941 0.3873
F 0.2404 0.1059 0.1127
F 0.7596 0.1059 0.8873
F 0.7411 0.9316 0.6481
F 0.2589 0.9316 0.3519
F 0.7589 0.0684 0.1481
F 0.2411 0.0684 0.8519
F 0.5595 0.7082 0.6482
F 0.4405 0.7082 0.3518
F 0.9405 0.2918 0.1482
F 0.0595 0.2918 0.8518
F 0.9122 0.7119 0.6112
F 0.0878 0.7119 0.3888
F 0.5878 0.2881 0.1112
F 0.4122 0.2881 0.8888
F 0.7784 0.6052 0.3897
F 0.2216 0.6052 0.6103
F 0.7216 0.3948 0.8897
F 0.2784 0.3948 0.1103
F 0.5154 0.8776 0.8428
F 0.4846 0.8776 0.1572
F 0.9846 0.1224 0.3428
F 0.0154 0.1224 0.6572
F 0.9947 0.8787 0.8045
F 0.0053 0.8787 0.1955
F 0.5053 0.1213 0.3045
F 0.4947 0.1213 0.6955
F 0.9345 0.6296 0.8498
F 0.0655 0.6296 0.1502
F 0.5655 0.3704 0.3498
F 0.4345 0.3704 0.6502
F 0.2245 0.4670 0.3936
F 0.7755 0.4670 0.6064
F 0.2755 0.5330 0.8936
F 0.7245 0.5330 0.1064
F 0.7798 0.8308 0.9904
F 0.2202 0.8308 0.0096
F 0.7202 0.1692 0.4904
F 0.2798 0.1692 0.5096
F 0.5827 0.6281 0.8829
F 0.4173 0.6281 0.1171
F 0.9173 0.3719 0.3829
F 0.0827 0.3719 0.6171

A relaxed structure of Ca2FeH6. Source: the Materials Project database, functional GGA-PBE.

Computed properties:
SG = No. 225

abc: 4.9532 4.9532 4.9532
angles: 60.00 60.00 60.00
Fractional coordinates of all 9 atoms:
Ca 0.2500 0.2500 0.2500
Ca 0.7500 0.7500 0.7500
Fe 0.0000 0.0000 0.0000
H 0.7727 0.2273 0.2273
H 0.2273 0.7727 0.7727
H 0.2273 0.7727 0.2273
H 0.7727 0.2273 0.7727
H 0.2273 0.2273 0.7727
H 0.7727 0.7727 0.2273

One value per record, in order, for E_form: -3.352; -3.843; -3.765; -4.200; -4.158; -3.829; -3.737; -3.962; -2.724; -2.729; -4.133; -0.653 eV per atom.